(1)
Below is crystalline Sr5Ti2N6 at its relaxed geometry, with properties calculated at the meta-GGA r2SCAN level.

Cell: 6.313 6.313 13.596 Å, 100.06 100.06 65.74°
Fractional coordinates of all 26 atoms:
Sr (0.144, 0.856, 0.750)
Sr (0.198, 0.723, 0.998)
Sr (0.223, 0.465, 0.278)
Sr (0.277, 0.802, 0.502)
Sr (0.465, 0.223, 0.778)
Sr (0.535, 0.777, 0.222)
Sr (0.723, 0.198, 0.498)
Sr (0.777, 0.535, 0.722)
Sr (0.802, 0.277, 0.002)
Sr (0.856, 0.144, 0.250)
Ti (0.167, 0.384, 0.571)
Ti (0.384, 0.167, 0.071)
Ti (0.616, 0.833, 0.929)
Ti (0.833, 0.616, 0.429)
N (0.106, 0.318, 0.426)
N (0.123, 0.172, 0.644)
N (0.172, 0.123, 0.144)
N (0.318, 0.106, 0.926)
N (0.431, 0.458, 0.624)
N (0.458, 0.431, 0.124)
N (0.542, 0.569, 0.876)
N (0.569, 0.542, 0.376)
N (0.682, 0.894, 0.074)
N (0.828, 0.877, 0.856)
N (0.877, 0.828, 0.356)
N (0.894, 0.682, 0.574)

Summary:
- density (g cm⁻³) = 4.25
- raw total energy (eV/atom) = -13.296

(2)
Below is crystalline BaTlHg2 at its relaxed geometry, with properties calculated at the meta-GGA r2SCAN level.

Cell: 5.576 5.576 5.576 Å, 60.00 60.00 60.00°
Fractional coordinates of all 4 atoms:
Ba (0.000, 0.000, 0.000)
Tl (0.500, 0.500, 0.500)
Hg (0.250, 0.250, 0.250)
Hg (0.750, 0.750, 0.750)

Summary:
- density (g cm⁻³) = 10.06
- raw total energy (eV/atom) = -45.020

(3)
Below is crystalline P4Se3Br2 at its relaxed geometry, with properties calculated at the meta-GGA r2SCAN level.

Cell: 9.943 9.943 12.686 Å, 107.16 107.16 99.04°
Fractional coordinates of all 36 atoms:
P (0.091, 0.863, 0.870)
P (0.101, 0.146, 0.420)
P (0.137, 0.909, 0.630)
P (0.146, 0.101, 0.920)
P (0.182, 0.644, 0.073)
P (0.215, 0.494, 0.169)
P (0.356, 0.818, 0.427)
P (0.494, 0.215, 0.669)
P (0.506, 0.785, 0.331)
P (0.644, 0.182, 0.573)
P (0.785, 0.506, 0.831)
P (0.818, 0.356, 0.927)
P (0.854, 0.899, 0.080)
P (0.863, 0.091, 0.370)
P (0.899, 0.854, 0.580)
P (0.909, 0.137, 0.130)
Se (0.137, 0.166, 0.255)
Se (0.152, 0.631, 0.314)
Se (0.166, 0.137, 0.755)
Se (0.213, 0.787, 0.750)
Se (0.369, 0.848, 0.186)
Se (0.459, 0.541, 0.250)
Se (0.541, 0.459, 0.750)
Se (0.631, 0.152, 0.814)
Se (0.787, 0.213, 0.250)
Se (0.834, 0.863, 0.245)
Se (0.848, 0.369, 0.686)
Se (0.863, 0.834, 0.745)
Br (0.154, 0.381, 0.540)
Br (0.257, 0.534, 0.924)
Br (0.381, 0.154, 0.040)
Br (0.466, 0.743, 0.576)
Br (0.534, 0.257, 0.424)
Br (0.619, 0.846, 0.960)
Br (0.743, 0.466, 0.076)
Br (0.846, 0.619, 0.460)

Summary:
- density (g cm⁻³) = 3.13
- raw total energy (eV/atom) = -11.907

(4)
Below is crystalline ThCo5 at its relaxed geometry, with properties calculated at the meta-GGA r2SCAN level.

Cell: 4.949 4.949 3.992 Å, 90.00 90.00 120.00°
Fractional coordinates of all 6 atoms:
Th (0.000, 0.000, 0.000)
Co (0.000, 0.500, 0.500)
Co (0.333, 0.667, 0.000)
Co (0.500, 0.000, 0.500)
Co (0.500, 0.500, 0.500)
Co (0.667, 0.333, 0.000)

Summary:
- density (g cm⁻³) = 10.33
- raw total energy (eV/atom) = -23.320

(5)
Below is crystalline Dy4MgS7 at its relaxed geometry, with properties calculated at the meta-GGA r2SCAN level.

Cell: 6.562 6.562 11.455 Å, 104.44 104.44 33.60°
Fractional coordinates of all 12 atoms:
Dy (0.000, 0.000, 0.000)
Dy (0.386, 0.386, 0.596)
Dy (0.580, 0.580, 0.363)
Dy (0.693, 0.693, 0.801)
Mg (0.807, 0.807, 0.217)
S (0.033, 0.033, 0.743)
S (0.197, 0.197, 0.292)
S (0.354, 0.354, 0.847)
S (0.426, 0.426, 0.148)
S (0.657, 0.657, 0.019)
S (0.731, 0.731, 0.580)
S (0.950, 0.950, 0.436)

Summary:
- density (g cm⁻³) = 5.66
- raw total energy (eV/atom) = -17.942

(6)
Below is crystalline Li2ZnCu3 at its relaxed geometry, with properties calculated at the meta-GGA r2SCAN level.

Cell: 4.913 4.913 4.913 Å, 59.33 59.33 59.33°
Fractional coordinates of all 6 atoms:
Li (0.123, 0.123, 0.123)
Li (0.877, 0.877, 0.877)
Zn (0.500, 0.500, 0.500)
Cu (0.000, 0.500, 0.500)
Cu (0.500, 0.000, 0.500)
Cu (0.500, 0.500, 0.000)

Summary:
- density (g cm⁻³) = 5.43
- raw total energy (eV/atom) = -7.816

(7)
Below is crystalline TiTeSe at its relaxed geometry, with properties calculated at the meta-GGA r2SCAN level.

Cell: 3.685 3.685 6.635 Å, 90.00 90.00 120.00°
Fractional coordinates of all 3 atoms:
Ti (0.000, 0.000, 0.000)
Te (0.667, 0.333, 0.273)
Se (0.333, 0.667, 0.791)

Summary:
- density (g cm⁻³) = 5.41
- raw total energy (eV/atom) = -18.624

(8)
Below is crystalline Lu2Ge2O7 at its relaxed geometry, with properties calculated at the meta-GGA r2SCAN level.

Cell: 6.688 6.688 12.158 Å, 90.00 90.00 90.00°
Fractional coordinates of all 44 atoms:
Lu (0.128, 0.357, 0.114)
Lu (0.143, 0.628, 0.364)
Lu (0.357, 0.128, 0.886)
Lu (0.372, 0.857, 0.136)
Lu (0.628, 0.143, 0.636)
Lu (0.643, 0.872, 0.386)
Lu (0.857, 0.372, 0.864)
Lu (0.872, 0.643, 0.614)
Ge (0.101, 0.149, 0.633)
Ge (0.149, 0.101, 0.367)
Ge (0.351, 0.601, 0.883)
Ge (0.399, 0.649, 0.617)
Ge (0.601, 0.351, 0.117)
Ge (0.649, 0.399, 0.383)
Ge (0.851, 0.899, 0.867)
Ge (0.899, 0.851, 0.133)
O (0.038, 0.079, 0.870)
O (0.066, 0.662, 0.180)
O (0.079, 0.038, 0.130)
O (0.143, 0.324, 0.293)
O (0.162, 0.434, 0.930)
O (0.176, 0.643, 0.543)
O (0.196, 0.196, 0.500)
O (0.304, 0.696, 0.750)
O (0.324, 0.143, 0.707)
O (0.338, 0.934, 0.320)
O (0.357, 0.824, 0.957)
O (0.421, 0.538, 0.120)
O (0.434, 0.162, 0.070)
O (0.462, 0.579, 0.380)
O (0.538, 0.421, 0.880)
O (0.566, 0.838, 0.570)
O (0.579, 0.462, 0.620)
O (0.643, 0.176, 0.457)
O (0.662, 0.066, 0.820)
O (0.676, 0.857, 0.207)
O (0.696, 0.304, 0.250)
O (0.804, 0.804, 0.000)
O (0.824, 0.357, 0.043)
O (0.838, 0.566, 0.430)
O (0.857, 0.676, 0.793)
O (0.921, 0.962, 0.630)
O (0.934, 0.338, 0.680)
O (0.962, 0.921, 0.370)

Summary:
- density (g cm⁻³) = 7.42
- raw total energy (eV/atom) = -16.158

no.,energy of formation from the pure elements (eV/atom)
1,-1.267
2,-0.417
3,-0.189
4,-0.045
5,-2.248
6,-0.111
7,-1.069
8,-2.911